Here is a relaxed structure of LaSiPd from the Materials Project database. Energies are from GGA-PBE.

The calculation puts the total energy at -6.163 eV/atom. Its calculated density is 6.9 g/cm³. The calculation puts the energy relative to the elements at -0.98 eV per atom.

abc: 10.9968 5.9751 7.9820
angles: 90.00 92.10 90.00
With the nearest neighbours (Å) after each atom.
Space group P2_1/c (No. 14)
Inequivalent atoms, fractional coordinates:
La: 0.1302 0.1305 0.3263 x4  4 Pd 3.12-3.38, 7 Si 3.20-3.39
La: 0.3587 0.6380 0.4657 x4  6 Pd 3.04-3.40, 4 Si 3.10-3.28
Si: 0.0766 0.6318 0.4655 x4  1 Si 2.38, 2 Pd 2.50-2.55
Si: 0.3574 0.1443 0.6253 x4  4 Pd 2.47-2.60
Pd: 0.1693 0.6071 0.1784 x4  3 Si 2.50-2.60
Pd: 0.4481 0.0981 0.3377 x4  3 Si 2.47-2.59

Here is a relaxed structure of LaSn2Pd from the Materials Project database. Energies are from GGA-PBE.

The calculation puts the total energy at -5.322 eV/atom. Its calculated density is 7.8 g/cm³. The calculation puts the energy relative to the elements at -0.79 eV per atom.

abc: 4.5628 19.2513 4.6934
angles: 90.00 90.00 90.00
With the nearest neighbours (Å) after each atom.
Space group Cmcm (No. 63)
Inequivalent atoms, fractional coordinates:
La: 0.0000 0.1077 0.2500 x4  10 Sn 3.51-3.66, 4 Pd 3.53
Sn: 0.0000 0.2523 0.7500 x4  4 Pd 2.71-2.72
Sn: 0.0000 0.4587 0.2500 x4  1 Pd 2.60, 2 Sn 2.83
Pd: 0.0000 0.3237 0.2500 x4  5 Sn 2.60-2.72

Here is a relaxed structure of La3Sn6Pd4 from the Materials Project database. Energies are from GGA-PBE.

The calculation puts the total energy at -5.407 eV/atom. As for the magnetic moment: 0.000 μB per atom. Its calculated density is 8.1 g/cm³. The calculation puts the energy relative to the elements at -0.82 eV per atom.

abc: 17.1149 4.6854 15.8453
angles: 90.00 90.00 90.00
With the nearest neighbours (Å) after each atom.
Space group Pnma (No. 62)
Inequivalent atoms, fractional coordinates:
La: 0.1159 0.2500 0.2486 x4  9 Sn 3.42-3.79, 6 Pd 3.52-3.70
La: 0.1416 0.7500 0.6180 x4  6 Pd 3.46-3.56, 9 Sn 3.50-3.74
La: 0.1493 0.2500 0.9828 x4  8 Sn 3.32-3.39, 6 Pd 3.37-3.62
Sn: 0.0258 0.7500 0.9177 x4  3 Pd 2.67-2.91
Sn: 0.0524 0.2500 0.4617 x4  4 Pd 2.69-2.78
Sn: 0.0571 0.2500 0.7701 x4  3 Pd 2.63-2.75
Sn: 0.1712 0.7500 0.3943 x4  4 Pd 2.74-2.78
Sn: 0.1891 0.7500 0.8367 x4  3 Pd 2.64-2.79
Sn: 0.2063 0.7500 0.1204 x4  3 Pd 2.66-2.73
Pd: 0.0113 0.7500 0.3787 x4  5 Sn 2.63-2.78
Pd: 0.0478 0.7500 0.0997 x4  5 Sn 2.67-2.91
Pd: 0.2093 0.2500 0.4746 x4  5 Sn 2.69-2.79
Pd: 0.2174 0.2500 0.7665 x4  5 Sn 2.64-2.78

Here is a relaxed structure of LaZnPd from the Materials Project database. Energies are from GGA-PBE.

The calculation puts the total energy at -4.505 eV/atom. As for the magnetic moment: 0.006 μB per atom. Its calculated density is 7.8 g/cm³. The calculation puts the energy relative to the elements at -0.71 eV per atom.

abc: 7.2716 4.4424 8.2123
angles: 90.00 90.00 90.00
With the nearest neighbours (Å) after each atom.
Space group Pnma (No. 62)
Inequivalent atoms, fractional coordinates:
La: 0.0323 0.2500 0.1956 x4  5 Pd 3.03-3.22, 5 Zn 3.20-3.35
Zn: 0.1538 0.2500 0.5706 x4  4 Pd 2.71-2.80
Pd: 0.2286 0.7500 0.3932 x4  4 Zn 2.71-2.80, 1 La 3.03